Record 1
Density functional theory data (meta-GGA r2SCAN) for a relaxed NaSbTe2 crystal.

calculated formation energy = -0.535 eV/atom
calculated total energy = -20.56 eV per atom

a b c (Å): 7.9778 7.9778 7.9778
angles (deg): 32.02 32.02 32.02
With the nearest neighbours (Å) after each atom.
Fractional positions:
Na 0.0000 0.0000 0.0000  6 Te 3.25
Sb 0.5000 0.5000 0.5000  6 Te 3.09
Te 0.2441 0.2441 0.2441  3 Sb 3.09, 3 Na 3.25
Te 0.7559 0.7559 0.7559  3 Sb 3.09, 3 Na 3.25

Record 2
Density functional theory data (meta-GGA r2SCAN) for a relaxed Na2Si2Se5 crystal.

calculated formation energy = -0.863 eV/atom
calculated total energy = -11.56 eV per atom

a b c (Å): 9.4303 9.4303 10.9617
angles (deg): 90.00 90.00 89.80
With the nearest neighbours (Å) after each atom.
Fractional positions:
Na 0.5787 0.0785 0.7500  5 Se 3.07-3.39
Na 0.4213 0.9215 0.2500  5 Se 3.07-3.39
Na 0.9215 0.4213 0.7500  5 Se 3.07-3.39
Na 0.0785 0.5787 0.2500  5 Se 3.07-3.39
Na 0.1482 0.1482 0.5000  4 Se 3.00-3.02
Na 0.8518 0.8518 0.0000  4 Se 3.00-3.02
Na 0.8518 0.8518 0.5000  4 Se 3.00-3.02
Na 0.1482 0.1482 0.0000  4 Se 3.00-3.02
Si 0.5852 0.6859 0.7500  4 Se 2.20-2.30
Si 0.4148 0.3141 0.2500  4 Se 2.20-2.30
Si 0.3141 0.4148 0.7500  4 Se 2.20-2.30
Si 0.6859 0.5852 0.2500  4 Se 2.20-2.30
Si 0.2538 0.7462 0.9172  4 Se 2.21-2.30
Si 0.7462 0.2538 0.4172  4 Se 2.21-2.30
Si 0.2538 0.7462 0.5828  4 Se 2.21-2.30
Si 0.7462 0.2538 0.0828  4 Se 2.21-2.30
Se 0.7287 0.8145 0.2500  1 Si 2.20
Se 0.2713 0.1855 0.7500  1 Si 2.20
Se 0.1855 0.2713 0.2500  1 Si 2.20
Se 0.8145 0.7287 0.7500  1 Si 2.20
Se 0.1576 0.8424 0.0815  1 Si 2.21
Se 0.8424 0.1576 0.5815  1 Si 2.21
Se 0.1576 0.8424 0.4185  1 Si 2.21
Se 0.8424 0.1576 0.9185  1 Si 2.21
Se 0.1518 0.8482 0.7500  2 Si 2.28
Se 0.8482 0.1518 0.2500  2 Si 2.28
Se 0.5068 0.2075 0.0782  2 Si 2.30
Se 0.4932 0.7925 0.5782  2 Si 2.30
Se 0.7925 0.4932 0.4218  2 Si 2.30
Se 0.2075 0.5068 0.9218  2 Si 2.30
Se 0.4932 0.7925 0.9218  2 Si 2.30
Se 0.5068 0.2075 0.4218  2 Si 2.30
Se 0.2075 0.5068 0.5782  2 Si 2.30
Se 0.7925 0.4932 0.0782  2 Si 2.30
Se 0.5530 0.4470 0.7500  2 Si 2.27
Se 0.4470 0.5530 0.2500  2 Si 2.27

Record 3
Density functional theory data (meta-GGA r2SCAN) for a relaxed Na4SiSe4 crystal.

calculated formation energy = -1.137 eV/atom
calculated total energy = -10.06 eV per atom

a b c (Å): 7.1578 9.1152 14.2870
angles (deg): 90.00 90.00 90.00
With the nearest neighbours (Å) after each atom.
Fractional positions:
Na 0.0000 0.0000 0.0000  4 Se 2.85-3.12
Na 0.5000 0.0000 0.5000  4 Se 2.85-3.12
Na 0.0000 0.5000 0.0000  4 Se 2.85-3.12
Na 0.5000 0.5000 0.5000  4 Se 2.85-3.12
Na 0.9943 0.7500 0.4543  5 Se 2.95-3.03
Na 0.4943 0.2500 0.0457  5 Se 2.95-3.03
Na 0.0057 0.2500 0.5457  5 Se 2.95-3.03
Na 0.5057 0.7500 0.9543  5 Se 2.95-3.03
Na 0.8626 0.0509 0.2664  5 Se 2.88-3.16, 1 Si 3.16
Na 0.3626 0.9491 0.2336  5 Se 2.88-3.16, 1 Si 3.16
Na 0.1374 0.5509 0.7336  5 Se 2.88-3.16, 1 Si 3.16
Na 0.6374 0.4491 0.7664  5 Se 2.88-3.16, 1 Si 3.16
Na 0.1374 0.9491 0.7336  5 Se 2.88-3.16, 1 Si 3.16
Na 0.6374 0.0509 0.7664  5 Se 2.88-3.16, 1 Si 3.16
Na 0.8626 0.4491 0.2664  5 Se 2.88-3.16, 1 Si 3.16
Na 0.3626 0.5509 0.2336  5 Se 2.88-3.16, 1 Si 3.16
Si 0.7781 0.7500 0.1653  4 Se 2.27-2.29
Si 0.2781 0.2500 0.3347  4 Se 2.27-2.29
Si 0.2219 0.2500 0.8347  4 Se 2.27-2.29
Si 0.7219 0.7500 0.6653  4 Se 2.27-2.29
Se 0.6567 0.5467 0.0959  1 Si 2.27
Se 0.1567 0.4533 0.4041  1 Si 2.27
Se 0.3433 0.0467 0.9041  1 Si 2.27
Se 0.8433 0.9533 0.5959  1 Si 2.27
Se 0.3433 0.4533 0.9041  1 Si 2.27
Se 0.8433 0.5467 0.5959  1 Si 2.27
Se 0.6567 0.9533 0.0959  1 Si 2.27
Se 0.1567 0.0467 0.4041  1 Si 2.27
Se 0.6818 0.7500 0.3181  1 Si 2.29
Se 0.1818 0.2500 0.1819  1 Si 2.29
Se 0.3182 0.2500 0.6819  1 Si 2.29
Se 0.8182 0.7500 0.8181  1 Si 2.29
Se 0.0928 0.7500 0.1412  1 Si 2.28
Se 0.5928 0.2500 0.3588  1 Si 2.28
Se 0.9072 0.2500 0.8588  1 Si 2.28
Se 0.4072 0.7500 0.6412  1 Si 2.28

Record 4
Density functional theory data (meta-GGA r2SCAN) for a relaxed NaSmSe2 crystal.

calculated formation energy = -1.977 eV/atom
calculated total energy = -17.46 eV per atom

a b c (Å): 4.2107 4.2107 7.3488
angles (deg): 73.35 73.35 60.00
With the nearest neighbours (Å) after each atom.
Fractional positions:
Na 0.0000 0.0000 0.0000  6 Se 3.04
Sm 0.5000 0.5000 0.5000  6 Se 2.93
Se 0.7547 0.7547 0.7359  3 Sm 2.93, 3 Na 3.04
Se 0.2453 0.2453 0.2641  3 Sm 2.93, 3 Na 3.04

Record 5
Density functional theory data (meta-GGA r2SCAN) for a relaxed Na2Ta3Se6 crystal.

calculated formation energy = -1.084 eV/atom
calculated total energy = -22.79 eV per atom

a b c (Å): 15.6122 15.6122 15.6122
angles (deg): 22.42 22.42 22.42
With the nearest neighbours (Å) after each atom.
Fractional positions:
Na 0.4167 0.4167 0.4167  6 Se 2.96
Na 0.0834 0.0834 0.0834  6 Se 2.96
Na 0.9166 0.9166 0.9166  6 Se 2.96
Na 0.5833 0.5833 0.5833  6 Se 2.96
Ta 0.8333 0.8333 0.8333  6 Se 2.60-2.61
Ta 0.1667 0.1667 0.1667  6 Se 2.60-2.61
Ta 0.5000 0.5000 0.5000  6 Se 2.61
Ta 0.3334 0.6666 0.0000  6 Se 2.60-2.61
Ta 0.0000 0.3334 0.6666  6 Se 2.60-2.61
Ta 0.6666 0.0000 0.3334  6 Se 2.60-2.61
Se 0.4658 0.1288 0.7972  3 Ta 2.60-2.61
Se 0.7972 0.4658 0.1288  3 Ta 2.60-2.61
Se 0.1288 0.7972 0.4658  3 Ta 2.60-2.61
Se 0.2028 0.8712 0.5342  3 Ta 2.60-2.61
Se 0.5342 0.2028 0.8712  3 Ta 2.60-2.61
Se 0.8712 0.5342 0.2028  3 Ta 2.60-2.61
Se 0.3705 0.0350 0.7026  3 Ta 2.60-2.61
Se 0.7026 0.3705 0.0350  3 Ta 2.60-2.61
Se 0.0350 0.7026 0.3705  3 Ta 2.60-2.61
Se 0.2974 0.9650 0.6295  3 Ta 2.60-2.61
Se 0.6295 0.2974 0.9650  3 Ta 2.60-2.61
Se 0.9650 0.6295 0.2974  3 Ta 2.60-2.61

Record 6
Density functional theory data (meta-GGA r2SCAN) for a relaxed NaTi5Se8 crystal.

calculated formation energy = -1.349 eV/atom
calculated total energy = -14.40 eV per atom

a b c (Å): 9.6564 9.6564 9.0408
angles (deg): 75.34 75.34 21.73
With the nearest neighbours (Å) after each atom.
Fractional positions:
Na 0.5000 0.5000 0.5000  10 Se 3.34-3.60, 2 Na 3.64
Ti 0.0000 0.0000 0.0000  6 Se 2.57-2.63
Ti 0.3497 0.3497 0.9839  6 Se 2.49-2.72
Ti 0.2904 0.2904 0.3513  6 Se 2.50-2.69
Ti 0.7096 0.7096 0.6487  6 Se 2.50-2.69
Ti 0.6503 0.6503 0.0161  6 Se 2.49-2.72
Se 0.4255 0.4255 0.1713  4 Ti 2.49-2.66
Se 0.9179 0.9179 0.8062  3 Ti 2.55-2.63
Se 0.8397 0.8397 0.4962  3 Ti 2.50-2.56
Se 0.7614 0.7614 0.1556  5 Ti 2.68-2.72
Se 0.2386 0.2386 0.8444  5 Ti 2.68-2.72
Se 0.1603 0.1603 0.5038  3 Ti 2.50-2.56
Se 0.0821 0.0821 0.1938  3 Ti 2.55-2.63
Se 0.5745 0.5745 0.8287  4 Ti 2.49-2.66

Record 7
Density functional theory data (meta-GGA r2SCAN) for a relaxed NaTi6Se8 crystal.

calculated formation energy = -1.340 eV/atom
calculated total energy = -14.39 eV per atom

a b c (Å): 9.8260 9.7722 3.6751
angles (deg): 90.00 90.01 120.28
With the nearest neighbours (Å) after each atom.
Fractional positions:
Na 0.0000 0.0000 0.5000  6 Se 3.28-3.30
Ti 0.1266 0.4915 0.7493  6 Se 2.56-2.70
Ti 0.5108 0.6377 0.7493  6 Se 2.57-2.67
Ti 0.3640 0.8733 0.7493  6 Se 2.57-2.70
Ti 0.8734 0.5085 0.2507  6 Se 2.56-2.70
Ti 0.4892 0.3623 0.2507  6 Se 2.57-2.67
Ti 0.6360 0.1267 0.2507  6 Se 2.57-2.70
Se 0.6668 0.3331 0.7505  6 Ti 2.63-2.65
Se 0.3332 0.6669 0.2495  6 Ti 2.63-2.65
Se 0.2965 0.3438 0.7510  4 Ti 2.57-2.70
Se 0.6567 0.9538 0.7511  4 Ti 2.57-2.67
Se 0.0463 0.7029 0.7511  4 Ti 2.56-2.70
Se 0.7035 0.6562 0.2490  4 Ti 2.57-2.70
Se 0.3434 0.0463 0.2489  4 Ti 2.57-2.67
Se 0.9537 0.2971 0.2489  4 Ti 2.56-2.70

Record 8
Density functional theory data (meta-GGA r2SCAN) for a relaxed Na2ZnSe2 crystal.

calculated formation energy = -1.113 eV/atom
calculated total energy = -10.05 eV per atom

a b c (Å): 7.3516 7.1297 9.1235
angles (deg): 86.51 90.00 90.00
With the nearest neighbours (Å) after each atom.
Fractional positions:
Na 0.1786 0.9531 0.6758  4 Se 2.91-3.16, 1 Zn 3.16
Na 0.6786 0.5469 0.3242  4 Se 2.91-3.16, 1 Zn 3.16
Na 0.8214 0.0469 0.3242  4 Se 2.91-3.16, 1 Zn 3.16
Na 0.3214 0.4531 0.6758  4 Se 2.91-3.16, 1 Zn 3.16
Na 0.2647 0.9880 0.0559  4 Se 2.90-2.97
Na 0.7647 0.5120 0.9441  4 Se 2.90-2.97
Na 0.7353 0.0120 0.9441  4 Se 2.90-2.97
Na 0.2353 0.4880 0.0559  4 Se 2.90-2.97
Zn 0.0908 0.6548 0.3720  4 Se 2.39-2.53
Zn 0.5908 0.8452 0.6280  4 Se 2.39-2.53
Zn 0.9092 0.3452 0.6280  4 Se 2.39-2.53
Zn 0.4092 0.1548 0.3720  4 Se 2.39-2.53
Se 0.6088 0.1984 0.5939  3 Zn 2.47-2.53
Se 0.1088 0.3016 0.4061  3 Zn 2.47-2.53
Se 0.3912 0.8016 0.4061  3 Zn 2.47-2.53
Se 0.8912 0.6984 0.5939  3 Zn 2.47-2.53
Se 0.5454 0.2548 0.1425  1 Zn 2.39
Se 0.0454 0.2452 0.8575  1 Zn 2.39
Se 0.4546 0.7452 0.8575  1 Zn 2.39
Se 0.9546 0.7548 0.1425  1 Zn 2.39